Record 1
Here is crystalline NaPrMnWO6 at its relaxed geometry from the Materials Project. Energies are from GGA+U.

Computed properties:
Energy with MP2020 corrections: -8.284 eV/atom

Cell lengths 8.0641, 8.0641, 8.0641 Å; angles 90.00, 90.00, 90.00 degrees
Last column: nearest neighbours and their distance in Å.
Space group F-43m (No. 216)
Inequivalent atoms, fractional coordinates:
Na1 0.0000 0.0000 0.0000  12 O 2.85
Pr1 0.0000 0.0000 0.5000  12 O 2.85
Mn1 0.2500 0.2500 0.2500  6 O 2.10
W1 0.2500 0.2500 0.7500  6 O 1.93
O1 0.0103 0.2500 0.7500  1 W 1.93, 1 Mn 2.10


Record 2
Here is crystalline Rb2NaMnO4 at its relaxed geometry from the Materials Project. Energies are from GGA+U.

Computed properties:
Energy with MP2020 corrections: -5.848 eV/atom

Cell lengths 6.0712, 6.0863, 7.9717 Å; angles 90.00, 92.83, 90.00 degrees
Last column: nearest neighbours and their distance in Å.
Space group P2_1/m (No. 11)
Inequivalent atoms, fractional coordinates:
Rb1 0.1176 0.2500 0.1726  6 O 2.87-3.19
Rb2 0.3050 0.7500 0.5161  7 O 2.88-3.11
Na1 0.3838 0.7500 0.0342  5 O 2.32-2.43
Mn1 0.1949 0.2500 0.7446  4 O 1.71-1.73
O1 0.0730 0.7500 0.1923  1 Mn 1.73
O2 0.2040 0.2500 0.5302  1 Mn 1.71
O3 0.3306 0.0227 0.8292  1 Mn 1.73


Record 3
Here is crystalline NaMn2S2O8 at its relaxed geometry from the Materials Project. Energies are from GGA+U.

Computed properties:
Energy with MP2020 corrections: -6.897 eV/atom

Cell lengths 6.3931, 7.8268, 8.8650 Å; angles 99.49, 110.41, 112.46 degrees
Last column: nearest neighbours and their distance in Å.
Space group P-1 (No. 2)
Inequivalent atoms, fractional coordinates:
Na1 0.0663 0.2015 0.4033  5 O 2.43-2.67
Mn1 0.0000 0.0000 0.0000  6 O 2.01-2.16
Mn2 0.2844 0.8013 0.2750  1 O 1.67
Mn3 0.5000 0.0000 0.0000  6 O 2.02-2.13
S1 0.2599 0.2617 0.7928  3 O 1.53-1.58
S2 0.4522 0.7214 0.6660  3 O 1.54-1.55
O1 0.0188 0.8307 0.3471  1 S 1.55
O2 0.1224 0.5589 0.2305  1 Mn 1.67
O3 0.2254 0.8756 0.0702  3 Mn 1.95-2.02
O4 0.2356 0.0940 0.8739  1 S 1.58
O5 0.2779 0.2417 0.2212  1 S 1.54
O6 0.3308 0.7576 0.7817  1 S 1.54
O7 0.3869 0.2286 0.6816  1 S 1.53
O8 0.4865 0.8834 0.5836  1 S 1.55


> Which value of energy with MP2020 corrections does entry 2 give?

-5.848 eV/atom


Please write out number 1 again, unchanged.
Here is crystalline NaPrMnWO6 at its relaxed geometry from the Materials Project. Energies are from GGA+U.

Computed properties:
Energy with MP2020 corrections: -8.284 eV/atom

Cell lengths 8.0641, 8.0641, 8.0641 Å; angles 90.00, 90.00, 90.00 degrees
Last column: nearest neighbours and their distance in Å.
Space group F-43m (No. 216)
Inequivalent atoms, fractional coordinates:
Na1 0.0000 0.0000 0.0000  12 O 2.85
Pr1 0.0000 0.0000 0.5000  12 O 2.85
Mn1 0.2500 0.2500 0.2500  6 O 2.10
W1 0.2500 0.2500 0.7500  6 O 1.93
O1 0.0103 0.2500 0.7500  1 W 1.93, 1 Mn 2.10


> Among the records above, which one has the highest energy with MP2020 corrections?

Rb2NaMnO4